Here is crystalline Sr2Ca2Fe3CoO12 at its relaxed geometry from the Materials Project. Energies are from GGA+U.

Unit cell a=7.750 b=7.695 c=7.730 alpha=89.86 beta=90.00 gamma=90.00
Sites, in units of the cell vectors:
O 0.500 0.000 0.001
O 0.000 0.000 0.495
O 0.500 0.500 0.001
Fe 0.250 0.000 0.499
O 0.752 0.501 0.254
O 0.750 0.258 0.498
O 0.250 0.742 0.496
O 0.248 0.998 0.252
O 0.000 0.501 0.493
Fe 0.750 0.000 0.499
O 0.750 0.742 0.496
O 0.748 0.499 0.745
O 0.248 0.501 0.254
Ca 0.000 0.253 0.251
Fe 0.750 0.500 0.002
Sr 0.000 0.747 0.748
O 0.250 0.749 0.005
O 0.750 0.749 0.005
Ca 0.000 0.747 0.251
Fe 0.250 0.500 0.002
O 0.750 0.251 0.001
O 0.250 0.251 0.001
O 0.252 0.002 0.748
O 0.500 0.500 0.499
Sr 0.000 0.253 0.748
O 0.000 0.500 0.005
O 0.250 0.258 0.498
O 0.000 0.000 0.005
O 0.748 0.002 0.748
O 0.500 0.000 0.499
Ca 0.500 0.253 0.749
Fe 0.750 0.000 0.001
Co 0.250 0.500 0.499
Sr 0.500 0.253 0.252
O 0.752 0.998 0.252
Ca 0.500 0.747 0.251
Sr 0.500 0.747 0.748
Fe 0.250 0.000 0.001
O 0.252 0.499 0.745
Co 0.750 0.500 0.499

## Properties
Final energy   -6.266 eV per atom
Symmetry   Pm, No. 6